Entry 1:
# r²SCAN RbBi3F10, relaxed
data_RbBi3F10
_symmetry_space_group_name_H-M 'F m -3 m'
_symmetry_Int_Tables_number 225
_symmetry_space_group_name_Hall '-F 4 2 3'
_cell_length_a 11.987
_cell_length_b 11.987
_cell_length_c 11.987
_cell_angle_alpha 90.00
_cell_angle_beta 90.00
_cell_angle_gamma 90.00
loop_
_atom_site_label
_atom_site_fract_x
_atom_site_fract_y
_atom_site_fract_z
Rb1 0.250 0.250 0.250
Bi1 0.000 0.000 0.240
F1 0.000 0.165 0.335
F2 0.113 0.113 0.113
# E_form	-2702.8	meV per atom
# magnetic moment	0.000	μB/atom
# calculated volume	1722	Å³/cell

=====

Entry 2:
# r²SCAN Tb2B6Rh9, relaxed
data_Tb2B6Rh9
_symmetry_space_group_name_H-M 'P 6/m m m'
_symmetry_Int_Tables_number 191
_symmetry_space_group_name_Hall '-P 6 2'
_cell_length_a 5.5718
_cell_length_b 5.5718
_cell_length_c 8.5262
_cell_angle_alpha 90.00
_cell_angle_beta 90.00
_cell_angle_gamma 120.00
loop_
_atom_site_label
_atom_site_fract_x
_atom_site_fract_y
_atom_site_fract_z
Tb1 0.0000 0.0000 0.2065
B1 0.3333 0.6667 0.1675
B2 0.3333 0.6667 0.5000
Rh1 0.0000 0.5000 0.0000
Rh2 0.0000 0.5000 0.3360
# E_form	-708.3	meV per atom
# magnetic moment	0.000	μB/atom
# calculated volume	229	Å³/cell

=====

Entry 3:
# r²SCAN VPO5, relaxed
data_VPO5
_symmetry_space_group_name_H-M 'P 4/n m m'
_symmetry_Int_Tables_number 129
_cell_length_a 6.189
_cell_length_b 6.189
_cell_length_c 4.220
_cell_angle_alpha 90.00
_cell_angle_beta 90.00
_cell_angle_gamma 90.00
loop_
_symmetry_equiv_pos_as_xyz
'x,y,z'
'-x,-y,-z'
'-y+1/2,x,z'
'y+1/2,-x,-z'
'-x+1/2,-y+1/2,z'
'x+1/2,y+1/2,-z'
'y,-x+1/2,z'
'-y,x+1/2,-z'
'x+1/2,-y,-z'
'-x+1/2,y,z'
'-y,-x,-z'
'y,x,z'
'-x,y+1/2,-z'
'x,-y+1/2,z'
'y+1/2,x+1/2,-z'
'-y+1/2,-x+1/2,z'
loop_
_atom_site_label
_atom_site_fract_x
_atom_site_fract_y
_atom_site_fract_z
V1 0.250 0.250 0.122
P1 0.250 0.750 0.000
O1 0.049 0.750 0.788
O2 0.250 0.250 0.745
# E_form	-2405.7	meV per atom
# magnetic moment	0.000	μB/atom
# excess energy over the best structure of this formula in the dataset	22	meV/atom
# calculated volume	162	Å³/cell

=====

Entry 4:
# r²SCAN K10Co4O9, relaxed
data_K10Co4O9
_symmetry_space_group_name_H-M 'P 1'
_symmetry_Int_Tables_number 1
_cell_length_a 6.672
_cell_length_b 8.973
_cell_length_c 9.119
_cell_angle_alpha 60.72
_cell_angle_beta 69.27
_cell_angle_gamma 89.80
loop_
_symmetry_equiv_pos_as_xyz
'x,y,z'
loop_
_atom_site_label
_atom_site_fract_x
_atom_site_fract_y
_atom_site_fract_z
K1 0.000 0.000 0.000
K2 0.003 0.953 0.471
K3 0.179 0.670 0.334
K4 0.346 0.420 0.738
K5 0.367 0.407 0.136
K6 0.493 0.870 0.469
K7 0.519 0.856 0.863
K8 0.698 0.600 0.293
K9 0.884 0.321 0.137
K10 0.892 0.230 0.642
Co1 0.092 0.736 0.850
Co2 0.418 0.182 0.537
Co3 0.472 0.096 0.064
Co4 0.813 0.531 0.735
O1 0.077 0.644 0.710
O2 0.104 0.644 0.070
O3 0.177 0.977 0.694
O4 0.211 0.157 0.101
O5 0.314 0.376 0.460
O6 0.568 0.897 0.127
O7 0.676 0.118 0.508
O8 0.708 0.305 0.929
O9 0.754 0.653 0.537
# E_form	-1333.6	meV per atom
# magnetic moment	0.435	μB/atom
# calculated volume	436	Å³/cell

=====

Entry 5:
# r²SCAN NbFe6Ge6, relaxed
data_NbFe6Ge6
_symmetry_space_group_name_H-M 'P 6/m m m'
_symmetry_Int_Tables_number 191
_symmetry_space_group_name_Hall '-P 6 2'
_cell_length_a 5.0149
_cell_length_b 5.0149
_cell_length_c 8.1455
_cell_angle_alpha 90.00
_cell_angle_beta 90.00
_cell_angle_gamma 120.00
loop_
_atom_site_label
_atom_site_fract_x
_atom_site_fract_y
_atom_site_fract_z
Nb1 0.0000 0.0000 0.0000
Fe1 0.0000 0.5000 0.2491
Ge1 0.0000 0.0000 0.3374
Ge2 0.3333 0.6667 0.0000
Ge3 0.3333 0.6667 0.5000
# E_form	-104.0	meV per atom
# magnetic moment	1.114	μB/atom
# calculated volume	177	Å³/cell

=====

Entry 6:
# r²SCAN CoAg2Sn3S8, relaxed
data_CoAg2Sn3S8
_symmetry_space_group_name_H-M 'R -3 m'
_symmetry_Int_Tables_number 166
_symmetry_space_group_name_Hall '-R 3 2"'
_cell_length_a 7.5380
_cell_length_b 7.5380
_cell_length_c 17.9104
_cell_angle_alpha 90.00
_cell_angle_beta 90.00
_cell_angle_gamma 120.00
loop_
_atom_site_label
_atom_site_fract_x
_atom_site_fract_y
_atom_site_fract_z
Co1 0.0000 0.0000 0.0000
Ag1 0.0000 0.0000 0.3928
Sn1 0.0000 0.5000 0.5000
S1 0.0000 0.0000 0.2473
S2 0.0413 0.5206 0.7472
# E_form	-421.4	meV per atom
# magnetic moment	0.071	μB/atom
# calculated volume	881	Å³/cell

=====

Entry 7:
# r²SCAN YMnF5, relaxed
data_YMnF5
_symmetry_space_group_name_H-M 'I m m m'
_symmetry_Int_Tables_number 71
_symmetry_space_group_name_Hall '-I 2 2'
_cell_length_a 4.186
_cell_length_b 6.883
_cell_length_c 8.247
_cell_angle_alpha 90.00
_cell_angle_beta 90.00
_cell_angle_gamma 90.00
loop_
_atom_site_label
_atom_site_fract_x
_atom_site_fract_y
_atom_site_fract_z
Y1 0.000 0.000 0.000
Mn1 0.000 0.000 0.500
F1 0.000 0.000 0.264
F2 0.000 0.315 0.000
F3 0.000 0.500 0.500
# E_form	-3613.4	meV per atom
# magnetic moment	0.714	μB/atom
# calculated volume	238	Å³/cell

=====

Entry 8:
# r²SCAN U2PtC2, relaxed
data_U2PtC2
_symmetry_space_group_name_H-M 'I 4/m m m'
_symmetry_Int_Tables_number 139
_symmetry_space_group_name_Hall '-I 4 2'
_cell_length_a 3.547
_cell_length_b 3.547
_cell_length_c 12.596
_cell_angle_alpha 90.00
_cell_angle_beta 90.00
_cell_angle_gamma 90.00
loop_
_atom_site_label
_atom_site_fract_x
_atom_site_fract_y
_atom_site_fract_z
U1 0.000 0.000 0.149
Pt1 0.000 0.000 0.500
C1 0.000 0.000 0.333
# E_form	-533.9	meV per atom
# magnetic moment	0.641	μB/atom
# calculated volume	158	Å³/cell

=====

Entry 9:
# r²SCAN Sc4Si2Pt7, relaxed
data_Sc4Si2Pt7
_symmetry_space_group_name_H-M 'P b a m'
_symmetry_Int_Tables_number 55
_cell_length_a 6.510
_cell_length_b 16.281
_cell_length_c 3.995
_cell_angle_alpha 90.00
_cell_angle_beta 90.00
_cell_angle_gamma 90.00
loop_
_symmetry_equiv_pos_as_xyz
'x,y,z'
'-x,-y,-z'
'-x,-y,z'
'x,y,-z'
'x+1/2,-y+1/2,-z'
'-x+1/2,y+1/2,z'
'-x+1/2,y+1/2,-z'
'x+1/2,-y+1/2,z'
loop_
_atom_site_label
_atom_site_fract_x
_atom_site_fract_y
_atom_site_fract_z
Sc1 0.025 0.209 0.000
Sc2 0.215 0.961 0.000
Si1 0.160 0.692 0.500
Pt1 0.000 0.500 0.500
Pt2 0.092 0.618 0.000
Pt3 0.095 0.079 0.500
Pt4 0.214 0.331 0.500
# E_form	-1264.0	meV per atom
# magnetic moment	0.000	μB/atom
# calculated volume	423	Å³/cell

=====

- The lowest E_form belongs to which entry?
  YMnF5